{"formula": "IrN", "functional": "PBE", "state": "optimized geometry", "e_above_lowest_polymorph_kj_per_mol_atoms": 89.5, "delta_e_f_mev_per_atom": 1285, "lattice": [[0.0000, 2.2026, 2.2026], [2.2026, 0.0000, 2.2026], [2.2026, 2.2026, 0.0000]], "species": ["Ir", "N"], "frac_coords": [[0.0000, 0.0000, 0.0000], [0.5000, 0.5000, 0.5000]]}

=====

{"formula": "BaAg4O7", "functional": "PBE", "state": "optimized geometry", "delta_e_f_mev_per_atom": -380, "lattice": [[6.8850, 0.0000, 0.0000], [-3.4425, 5.9626, 0.0000], [0.0000, 0.0000, 11.6534]], "species": ["Ba", "Ba", "Ag", "Ag", "Ag", "Ag", "Ag", "Ag", "Ag", "Ag", "O", "O", "O", "O", "O", "O", "O", "O", "O", "O", "O", "O", "O", "O"], "frac_coords": [[0.3333, 0.6667, 0.0000], [0.6667, 0.3333, 0.5000], [0.0000, 0.0000, 0.4668], [0.0000, 0.0000, 0.9668], [0.1755, 0.3511, 0.7244], [0.1755, 0.8245, 0.7244], [0.3511, 0.1755, 0.2244], [0.6489, 0.8245, 0.7244], [0.8245, 0.1755, 0.2244], [0.8245, 0.6489, 0.2244], [0.0000, 0.0000, 0.2849], [0.0000, 0.0000, 0.7849], [0.0663, 0.5332, 0.8199], [0.1529, 0.3058, 0.5521], [0.1529, 0.8471, 0.5521], [0.3058, 0.1529, 0.0521], [0.4668, 0.5332, 0.8199], [0.4668, 0.9337, 0.8199], [0.5332, 0.0663, 0.3199], [0.5332, 0.4668, 0.3199], [0.6942, 0.8471, 0.5521], [0.8471, 0.1529, 0.0521], [0.8471, 0.6942, 0.0521], [0.9337, 0.4668, 0.3199]]}

=====

{"formula": "SrEuNbBiO6", "functional": "PBE", "state": "optimized geometry", "e_above_lowest_polymorph_kj_per_mol_atoms": 14.5, "delta_e_f_mev_per_atom": -2707, "lattice": [[0.0000, 4.3000, 4.3000], [4.3000, 0.0000, 4.3000], [4.3000, 4.3000, 0.0000]], "species": ["Sr", "Eu", "Nb", "Bi", "O", "O", "O", "O", "O", "O"], "frac_coords": [[0.0000, 0.0000, 0.0000], [0.5000, 0.5000, 0.5000], [0.7500, 0.7500, 0.7500], [0.2500, 0.2500, 0.2500], [0.5168, 0.5168, 0.9832], [0.5168, 0.9832, 0.5168], [0.5168, 0.9832, 0.9832], [0.9832, 0.5168, 0.5168], [0.9832, 0.5168, 0.9832], [0.9832, 0.9832, 0.5168]]}